This record from Materials Project describes an optimized crystal structure of Hf2Ni3P3. The functional is r²SCAN.

a b c (Å): 3.588 9.944 12.189
angles (deg): 90.00 90.00 90.00
Atoms (fractional coordinates):
Hf 0.750 0.927 0.790
P 0.750 0.055 0.373
Ni 0.750 0.865 0.283
Ni 0.250 0.365 0.217
Ni 0.750 0.404 0.518
P 0.750 0.261 0.145
Ni 0.250 0.725 0.665
Hf 0.750 0.836 0.504
Ni 0.750 0.225 0.835
Ni 0.250 0.775 0.165
P 0.250 0.555 0.127
Ni 0.250 0.904 0.982
Ni 0.750 0.275 0.335
P 0.750 0.897 0.102
Ni 0.750 0.635 0.783
Ni 0.250 0.135 0.717
P 0.750 0.603 0.602
Hf 0.250 0.336 0.996
Hf 0.750 0.573 0.290
Hf 0.750 0.664 0.004
Hf 0.250 0.073 0.210
Hf 0.250 0.164 0.496
P 0.250 0.103 0.898
P 0.250 0.761 0.355
Ni 0.250 0.596 0.483
P 0.750 0.239 0.645
Ni 0.750 0.096 0.017
P 0.750 0.445 0.873
Hf 0.250 0.427 0.710
P 0.250 0.739 0.855
P 0.250 0.945 0.627
P 0.250 0.397 0.398

Computed properties:
Crystal system: orthorhombic
SG: Pnma (62)

---

This record from Materials Project describes an optimized crystal structure of Eu2TlIn. The functional is r²SCAN.

a b c (Å): 5.605 5.605 5.605
angles (deg): 60.00 60.00 60.00
Atoms (fractional coordinates):
Eu 0.750 0.750 0.750
Tl 0.000 0.000 0.000
Eu 0.250 0.250 0.250
In 0.500 0.500 0.500

Computed properties:
Crystal system: cubic
SG: Fm-3m (225)

---

This record from Materials Project describes an optimized crystal structure of RbYbF3. The functional is r²SCAN.

a b c (Å): 4.467 4.467 4.467
angles (deg): 90.00 90.00 90.00
Atoms (fractional coordinates):
Rb 0.000 0.000 0.000
Yb 0.500 0.500 0.500
F 0.500 0.000 0.500
F 0.500 0.500 0.000
F 0.000 0.500 0.500

Computed properties:
Crystal system: cubic
SG: Pm-3m (221)

---

This record from Materials Project describes an optimized crystal structure of USbTe. The functional is r²SCAN.

a b c (Å): 4.344 4.344 9.307
angles (deg): 90.00 90.00 90.00
Atoms (fractional coordinates):
Te 0.250 0.250 0.628
U 0.750 0.750 0.730
U 0.250 0.250 0.270
Te 0.750 0.750 0.372
Sb 0.250 0.750 0.000
Sb 0.750 0.250 0.000

Computed properties:
Crystal system: tetragonal
SG: P4/nmm (129)

---

This record from Materials Project describes an optimized crystal structure of PaS3. The functional is r²SCAN.

a b c (Å): 5.838 5.825 4.954
angles (deg): 90.00 90.00 120.12
Atoms (fractional coordinates):
Pa 0.333 0.667 0.750
S 0.177 0.823 0.250
S 0.823 0.177 0.750
S 0.645 0.823 0.250
S 0.177 0.355 0.250
S 0.355 0.177 0.750
Pa 0.667 0.333 0.250
S 0.823 0.645 0.750

Computed properties:
Crystal system: orthorhombic
SG: Cmcm (63)

---

This record from Materials Project describes an optimized crystal structure of NdSi2Os2. The functional is r²SCAN.

a b c (Å): 4.209 4.209 5.747
angles (deg): 111.48 111.48 90.00
Atoms (fractional coordinates):
Nd 0.000 0.000 0.000
Si 0.634 0.634 0.269
Os 0.750 0.250 0.500
Si 0.366 0.366 0.731
Os 0.250 0.750 0.500

Computed properties:
Crystal system: tetragonal
SG: I4/mmm (139)

---

This record from Materials Project describes an optimized crystal structure of TcBr3. The functional is r²SCAN.

a b c (Å): 6.660 6.660 6.294
angles (deg): 90.00 90.00 120.00
Atoms (fractional coordinates):
Br 0.700 0.000 0.250
Br 0.000 0.700 0.250
Br 0.300 0.000 0.750
Tc 0.000 0.000 0.000
Br 0.300 0.300 0.250
Tc 0.000 0.000 0.500
Br 0.700 0.700 0.750
Br 0.000 0.300 0.750

Computed properties:
Crystal system: hexagonal
SG: P6_3/mcm (193)
Energy above the lowest structure with this stoichiometry: 5 meV per atom

---

This record from Materials Project describes an optimized crystal structure of Er8Ga3Co. The functional is r²SCAN.

a b c (Å): 9.845 9.845 6.836
angles (deg): 90.00 90.00 120.00
Atoms (fractional coordinates):
Er 0.074 0.537 0.292
Ga 0.164 0.327 0.542
Er 0.537 0.463 0.792
Co 0.333 0.667 0.058
Co 0.667 0.333 0.558
Er 0.333 0.667 0.672
Ga 0.327 0.164 0.041
Er 0.926 0.463 0.792
Ga 0.836 0.164 0.041
Er 0.537 0.074 0.792
Er 0.654 0.827 0.991
Er 0.346 0.173 0.491
Er 0.173 0.827 0.991
Er 0.000 0.000 0.270
Er 0.463 0.537 0.292
Er 0.173 0.346 0.991
Er 0.827 0.173 0.491
Er 0.463 0.926 0.292
Ga 0.164 0.836 0.542
Er 0.667 0.333 0.172
Er 0.000 0.000 0.770
Er 0.827 0.654 0.491
Ga 0.836 0.673 0.041
Ga 0.673 0.836 0.542

Computed properties:
Crystal system: hexagonal
SG: P6_3mc (186)

---

This record from Materials Project describes an optimized crystal structure of La6Ni6P17. The functional is r²SCAN.

a b c (Å): 8.821 8.821 8.821
angles (deg): 109.47 109.47 109.47
Atoms (fractional coordinates):
Ni 0.750 0.250 0.500
P 0.601 0.368 0.368
P 0.233 0.632 0.000
La 0.000 0.710 0.710
P 0.431 0.000 0.000
P 0.368 0.368 0.601
P 0.368 0.601 0.368
La 0.710 0.710 0.000
P 0.569 0.569 0.569
Ni 0.500 0.250 0.750
Ni 0.250 0.750 0.500
P 0.000 0.233 0.632
P 0.233 0.000 0.632
P 0.000 0.431 0.000
P 0.632 0.233 0.000
Ni 0.250 0.500 0.750
La 0.000 0.290 0.290
P 0.000 0.000 0.431
P 0.000 0.000 0.000
P 0.767 0.399 0.767
P 0.000 0.632 0.233
P 0.399 0.767 0.767
La 0.290 0.290 0.000
La 0.290 0.000 0.290
P 0.632 0.000 0.233
Ni 0.750 0.500 0.250
P 0.767 0.767 0.399
La 0.710 0.000 0.710
Ni 0.500 0.750 0.250

Computed properties:
Crystal system: cubic
SG: I-43m (217)

---

This record from Materials Project describes an optimized crystal structure of K2Nb2As2O11. The functional is r²SCAN.

a b c (Å): 10.521 10.015 10.367
angles (deg): 83.01 90.00 90.00
Atoms (fractional coordinates):
O 0.271 0.045 0.474
O 0.463 0.544 0.480
O 0.079 0.205 0.578
O 0.941 0.209 0.340
O 0.444 0.365 0.268
O 0.219 0.049 0.966
As 0.886 0.889 0.441
O 0.848 0.928 0.278
As 0.079 0.368 0.606
K 0.298 0.739 0.068
O 0.260 0.587 0.308
Nb 0.093 0.144 0.384
O 0.467 0.960 0.975
O 0.719 0.951 0.034
O 0.922 0.797 0.922
K 0.499 0.503 0.751
Nb 0.318 0.435 0.397
K 0.714 0.262 0.465
O 0.029 0.961 0.474
O 0.057 0.792 0.164
As 0.579 0.632 0.394
O 0.311 0.313 0.853
K 0.214 0.738 0.535
O 0.579 0.795 0.422
O 0.811 0.687 0.147
O 0.760 0.413 0.692
O 0.557 0.634 0.232
O 0.786 0.548 0.936
As 0.922 0.634 0.894
As 0.386 0.111 0.559
O 0.771 0.955 0.526
K 0.999 0.497 0.249
O 0.348 0.072 0.722
Nb 0.683 0.561 0.104
O 0.716 0.548 0.436
O 0.190 0.312 0.351
O 0.646 0.927 0.781
O 0.038 0.547 0.980
K 0.570 0.013 0.244
O 0.967 0.040 0.025
O 0.082 0.279 0.028
O 0.286 0.452 0.064
O 0.239 0.588 0.804
O 0.538 0.453 0.020
O 0.529 0.039 0.526
Nb 0.183 0.439 0.896
K 0.070 0.987 0.756
O 0.582 0.721 0.972
O 0.963 0.456 0.520
O 0.739 0.412 0.196
O 0.146 0.073 0.219
O 0.914 0.724 0.471
Nb 0.406 0.144 0.885
Nb 0.593 0.856 0.616
As 0.422 0.366 0.106
O 0.690 0.688 0.649
O 0.414 0.276 0.529
O 0.216 0.452 0.564
As 0.610 0.886 0.942
O 0.441 0.791 0.660
O 0.057 0.366 0.768
Nb 0.818 0.565 0.603
O 0.944 0.635 0.732
As 0.110 0.114 0.058
K 0.798 0.261 0.932
Nb 0.906 0.856 0.115
O 0.557 0.208 0.836
O 0.422 0.203 0.078

Computed properties:
Crystal system: monoclinic
SG: P2_1 (4)

---

This record from Materials Project describes an optimized crystal structure of LiFeF4. The functional is r²SCAN.

a b c (Å): 4.939 7.223 7.276
angles (deg): 78.31 90.00 90.00
Atoms (fractional coordinates):
F 0.573 0.695 0.439
F 0.914 0.432 0.687
Fe 0.255 0.325 0.314
F 0.581 0.195 0.913
F 0.927 0.195 0.439
F 0.576 0.420 0.196
F 0.924 0.920 0.196
F 0.086 0.568 0.313
F 0.427 0.305 0.561
F 0.919 0.695 0.913
Li 0.749 0.166 0.151
Fe 0.745 0.675 0.686
F 0.414 0.068 0.313
Fe 0.755 0.175 0.686
Fe 0.245 0.825 0.314
F 0.076 0.080 0.804
Li 0.249 0.334 0.849
Li 0.751 0.666 0.151
F 0.081 0.305 0.087
F 0.586 0.932 0.687
F 0.073 0.805 0.561
F 0.419 0.805 0.087
F 0.424 0.580 0.804
Li 0.251 0.834 0.849

Computed properties:
Crystal system: monoclinic
SG: P2_1/c (14)
Energy above the lowest structure with this stoichiometry: 8 meV per atom

---

This record from Materials Project describes an optimized crystal structure of TaVP. The functional is r²SCAN.

a b c (Å): 3.384 6.389 7.673
angles (deg): 90.00 90.00 90.00
Atoms (fractional coordinates):
P 0.750 0.738 0.359
P 0.750 0.238 0.141
P 0.250 0.762 0.859
V 0.250 0.638 0.558
Ta 0.250 0.537 0.167
Ta 0.750 0.963 0.667
V 0.750 0.862 0.058
V 0.250 0.138 0.942
Ta 0.250 0.037 0.333
V 0.750 0.362 0.442
P 0.250 0.262 0.641
Ta 0.750 0.463 0.833

Computed properties:
Crystal system: orthorhombic
SG: Pnma (62)

---

This record from Materials Project describes an optimized crystal structure of Na3CoO3. The functional is r²SCAN.

a b c (Å): 5.661 5.843 6.304
angles (deg): 115.34 89.17 94.56
Atoms (fractional coordinates):
O 0.258 0.528 0.346
Na 0.436 0.745 0.742
Na 0.942 0.772 0.557
Na 0.564 0.255 0.258
Co 0.359 0.807 0.308
O 0.694 0.925 0.375
Na 0.146 0.232 0.981
O 0.754 0.094 0.901
O 0.306 0.075 0.625
Na 0.854 0.768 0.019
Na 0.058 0.228 0.443
O 0.742 0.472 0.654
Co 0.641 0.193 0.692
O 0.246 0.906 0.099

Computed properties:
Crystal system: triclinic
SG: P-1 (2)
Energy above the lowest structure with this stoichiometry: 0 meV per atom

---

This record from Materials Project describes an optimized crystal structure of Na2Te. The functional is r²SCAN.

a b c (Å): 5.138 5.138 5.138
angles (deg): 60.00 60.00 60.00
Atoms (fractional coordinates):
Na 0.750 0.750 0.750
Na 0.250 0.250 0.250
Te 0.000 0.000 0.000

Computed properties:
Crystal system: cubic
SG: Fm-3m (225)

---

This record from Materials Project describes an optimized crystal structure of ErSn3. The functional is r²SCAN.

a b c (Å): 4.673 4.673 4.673
angles (deg): 90.00 90.00 90.00
Atoms (fractional coordinates):
Sn 0.000 0.500 0.500
Sn 0.500 0.000 0.500
Sn 0.500 0.500 0.000
Er 0.000 0.000 0.000

Computed properties:
Crystal system: cubic
SG: Pm-3m (221)

---

This record from Materials Project describes an optimized crystal structure of RbPb. The functional is r²SCAN.

a b c (Å): 12.018 12.018 12.984
angles (deg): 117.57 117.57 90.00
Atoms (fractional coordinates):
Pb 0.992 0.068 0.863
Rb 0.614 0.250 0.500
Pb 0.492 0.795 0.863
Rb 0.750 0.114 0.000
Rb 0.504 0.754 0.250
Rb 0.254 0.004 0.750
Rb 0.004 0.496 0.250
Pb 0.795 0.371 0.363
Pb 0.008 0.932 0.137
Rb 0.996 0.504 0.750
Pb 0.932 0.129 0.637
Rb 0.250 0.886 0.000
Rb 0.750 0.614 0.000
Pb 0.129 0.705 0.137
Pb 0.871 0.295 0.863
Pb 0.205 0.629 0.637
Rb 0.386 0.750 0.500
Rb 0.250 0.386 0.000
Rb 0.746 0.996 0.250
Pb 0.508 0.205 0.137
Rb 0.496 0.246 0.750
Rb 0.246 0.254 0.250
Pb 0.371 0.568 0.863
Pb 0.705 0.008 0.637
Rb 0.886 0.750 0.500
Pb 0.432 0.508 0.637
Pb 0.568 0.492 0.363
Rb 0.754 0.746 0.750
Pb 0.068 0.871 0.363
Pb 0.295 0.992 0.363
Rb 0.114 0.250 0.500
Pb 0.629 0.432 0.137

Computed properties:
Crystal system: tetragonal
SG: I4_1/acd (142)

---

Let's list formation energy from the elements in order: -1056.8, -553.4, -3239.7, -956.4, -1113.5, -786.5, -514.6, -462.4, -1024.7, -2140.5, -2781.6, -881.7, -1524.7, -1127.8, -361.6, -357.3 meV per atom.
Let's list DFT total energy in order: -0.743, -1.424, -0.559, -1.641, -0.968, -1.153, -0.623, -0.994, -0.549, -0.417, -0.282, -0.911, -0.276, -0.440, -1.007, -1.303 Ha/atom.